Below is Na5Ca4PS5O24 after structural relaxation, with properties calculated at the GGA-PBE level.

- Total moment: 0.00 μB per atom
- Formation enthalpy at 0 K: -2.544 eV per atom

The structure in CIF format:
```
data_Na5Ca4PS5O24
_cell_length_a 9.3668
_cell_length_b 9.3774
_cell_length_c 23.2690
_cell_angle_alpha 90.09
_cell_angle_beta 90.13
_cell_angle_gamma 119.96
_space_group_name_H-M_alt 'P 1'
_space_group_IT_number 1
_space_group_name_Hall 'P 1'
loop_
_atom_site_label
_atom_site_type_symbol
_atom_site_fract_x
_atom_site_fract_y
_atom_site_fract_z
Na1 Na 0.0000 0.0000 0.0000
Na2 Na 0.0018 0.6870 0.0766
Na3 Na 0.0148 0.3344 0.8263
Na4 Na 0.0283 0.6906 0.5755
Na5 Na 0.0433 0.0506 0.3169
Na6 Na 0.0564 0.3676 0.1605
Na7 Na 0.3252 0.0233 0.1628
Na8 Na 0.3584 0.3343 0.7428
Na9 Na 0.3606 0.9966 0.4865
Na10 Na 0.3847 0.7048 0.3307
Na11 Na 0.3893 0.3495 0.2438
Na12 Na 0.6508 0.0450 0.9073
Na13 Na 0.6740 0.6820 0.8218
Na14 Na 0.6986 0.3863 0.6664
Na15 Na 0.7013 0.0494 0.4066
Ca1 Ca 0.0169 0.6962 0.2269
Ca2 Ca 0.0193 0.6811 0.4237
Ca3 Ca 0.0314 0.6834 0.9238
Ca4 Ca 0.0386 0.7018 0.7265
Ca5 Ca 0.3569 0.3682 0.5900
Ca6 Ca 0.3686 0.3578 0.3945
Ca7 Ca 0.3734 0.3687 0.0884
Ca8 Ca 0.3742 0.3532 0.8938
Ca9 Ca 0.6873 0.0212 0.7555
Ca10 Ca 0.6925 0.0158 0.0602
Ca11 Ca 0.6966 0.0250 0.2558
Ca12 Ca 0.7015 0.0144 0.5603
P1 P 0.0121 0.0307 0.1564
P2 P 0.3338 0.9950 0.3261
P3 P 0.7271 0.3893 0.8182
S1 S 0.0241 0.9985 0.8290
S2 S 0.0343 0.3841 0.3210
S3 S 0.0544 0.3531 0.9917
S4 S 0.0597 0.0515 0.4882
S5 S 0.3364 0.6855 0.8258
S6 S 0.3552 0.0446 0.9962
S7 S 0.3629 0.6733 0.4876
S8 S 0.3821 0.7151 0.1626
S9 S 0.3906 0.0293 0.6522
S10 S 0.6666 0.3523 0.4976
S11 S 0.6773 0.6741 0.9874
S12 S 0.6953 0.7091 0.6621
S13 S 0.6967 0.3261 0.1570
S14 S 0.7179 0.6945 0.3261
S15 S 0.9989 0.3309 0.6619
O1 O 0.0048 0.4936 0.6585
O2 O 0.0208 0.4750 0.3704
O3 O 0.0244 0.9172 0.8836
O4 O 0.0278 0.4962 0.9924
O5 O 0.0306 0.4622 0.2659
O6 O 0.0368 0.8784 0.1561
O7 O 0.0420 0.9114 0.7792
O8 O 0.0557 0.8895 0.4912
O9 O 0.1315 0.1330 0.4322
O10 O 0.1474 0.3532 0.9397
O11 O 0.1467 0.3580 0.0446
O12 O 0.1600 0.1747 0.8281
O13 O 0.1670 0.1537 0.5361
O14 O 0.1676 0.3552 0.6577
O15 O 0.1883 0.1895 0.1580
O16 O 0.1951 0.3847 0.3234
O17 O 0.1952 0.8853 0.9947
O18 O 0.2133 0.6967 0.1607
O19 O 0.2135 0.6926 0.4926
O20 O 0.2212 0.8864 0.6562
O21 O 0.2312 0.9058 0.2714
O22 O 0.2434 0.6823 0.7740
O23 O 0.2428 0.8934 0.3803
O24 O 0.2611 0.7053 0.8785
O25 O 0.3369 0.5252 0.8270
O26 O 0.3462 0.1674 0.3269
O27 O 0.3554 0.1292 0.0505
O28 O 0.3609 0.5470 0.1571
O29 O 0.3612 0.5940 0.4320
O30 O 0.3650 0.1459 0.9459
O31 O 0.3667 0.5766 0.5366
O32 O 0.3865 0.1873 0.6552
O33 O 0.4645 0.0185 0.5969
O34 O 0.4639 0.7875 0.2184
O35 O 0.4776 0.8237 0.1146
O36 O 0.4965 0.0149 0.9939
O37 O 0.4958 0.0352 0.7011
O38 O 0.5051 0.0058 0.3247
O39 O 0.5106 0.8437 0.4882
O40 O 0.5119 0.8219 0.8232
O41 O 0.5421 0.5591 0.3275
O42 O 0.5480 0.5384 0.6615
O43 O 0.5503 0.3492 0.1554
O44 O 0.5569 0.3807 0.8239
O45 O 0.5613 0.3454 0.4485
O46 O 0.5803 0.5763 0.0369
O47 O 0.5923 0.3634 0.5526
O48 O 0.5992 0.5934 0.9321
O49 O 0.6710 0.1943 0.4947
O50 O 0.6780 0.2273 0.2091
O51 O 0.6898 0.8055 0.6133
O52 O 0.6963 0.8423 0.9883
O53 O 0.6968 0.7876 0.7178
O54 O 0.7048 0.2394 0.1052
O55 O 0.7099 0.2151 0.8214
O56 O 0.7190 0.8555 0.3260
O57 O 0.7934 0.6776 0.2728
O58 O 0.8020 0.4752 0.7601
O59 O 0.8093 0.6932 0.3775
O60 O 0.8360 0.4952 0.4934
O61 O 0.8455 0.6916 0.6566
O62 O 0.8467 0.4935 0.8670
O63 O 0.8478 0.6972 0.9921
O64 O 0.8527 0.4880 0.1594
O65 O 0.8636 0.9980 0.8252
O66 O 0.8905 0.0257 0.4925
O67 O 0.8910 0.2283 0.6141
O68 O 0.8921 0.1952 0.9903
O69 O 0.8984 0.2086 0.3238
O70 O 0.9199 0.0298 0.1010
O71 O 0.9207 0.0393 0.2107
O72 O 0.9269 0.2496 0.7180
```

***

Below is Na3CaScP2SO12 after structural relaxation, with properties calculated at the GGA-PBE level.

- Total moment: 0.00 μB per atom
- Formation enthalpy at 0 K: -2.804 eV per atom

The structure in CIF format:
```
data_Na3CaScP2SO12
_cell_length_a 9.2707
_cell_length_b 9.2298
_cell_length_c 22.9969
_cell_angle_alpha 90.36
_cell_angle_beta 90.00
_cell_angle_gamma 120.15
_space_group_name_H-M_alt 'P 1'
_space_group_IT_number 1
_space_group_name_Hall 'P 1'
loop_
_atom_site_label
_atom_site_type_symbol
_atom_site_fract_x
_atom_site_fract_y
_atom_site_fract_z
Na1 Na 0.3596 0.3551 0.2471
Na2 Na 0.9994 0.6330 0.2449
Na3 Na 0.6335 0.6330 0.7449
Na4 Na 0.9955 0.3551 0.7471
Na5 Na 0.0262 0.6884 0.5804
Na6 Na 0.6661 0.9663 0.5783
Na7 Na 0.3002 0.9663 0.0783
Na8 Na 0.6622 0.6884 0.0804
Na9 Na 0.6929 0.0217 0.9137
Na10 Na 0.3328 0.2997 0.9116
Na11 Na 0.9669 0.2997 0.4116
Na12 Na 0.3288 0.0217 0.4137
Na13 Na 0.9817 0.9851 0.4980
Na14 Na 0.0034 0.9851 0.9980
Na15 Na 0.6483 0.3184 0.8313
Na16 Na 0.6701 0.3184 0.3313
Na17 Na 0.3150 0.6517 0.1646
Na18 Na 0.3368 0.6517 0.6646
Ca1 Ca 0.9883 0.9934 0.3499
Ca2 Ca 0.0051 0.9934 0.8499
Ca3 Ca 0.6550 0.3267 0.6832
Ca4 Ca 0.6718 0.3267 0.1832
Ca5 Ca 0.3216 0.6601 0.0165
Ca6 Ca 0.3384 0.6601 0.5165
Sc1 Sc 0.0003 0.0154 0.6505
Sc2 Sc 0.0151 0.0154 0.1505
Sc3 Sc 0.6670 0.3488 0.9838
Sc4 Sc 0.6818 0.3488 0.4838
Sc5 Sc 0.3336 0.6821 0.3171
Sc6 Sc 0.3485 0.6821 0.8171
P1 P 0.2940 0.9966 0.2517
P2 P 0.0104 0.3054 0.2534
P3 P 0.2950 0.3054 0.7534
P4 P 0.7025 0.9966 0.7517
P5 P 0.9607 0.3299 0.5850
P6 P 0.6771 0.6387 0.5868
P7 P 0.9617 0.6387 0.0868
P8 P 0.3692 0.3299 0.0850
P9 P 0.6274 0.6632 0.9183
P10 P 0.3437 0.9721 0.9201
P11 P 0.6283 0.9721 0.4201
P12 P 0.0358 0.6632 0.4183
S1 S 0.6962 0.7038 0.2477
S2 S 0.0077 0.7038 0.7477
S3 S 0.3628 0.0372 0.5810
S4 S 0.6743 0.0372 0.0810
S5 S 0.0295 0.3705 0.9144
S6 S 0.3410 0.3705 0.4144
O1 O 0.2146 0.0176 0.3067
O2 O 0.7993 0.7819 0.2989
O3 O 0.9895 0.2126 0.3100
O4 O 0.2231 0.2126 0.8100
O5 O 0.9826 0.7819 0.7989
O6 O 0.8030 0.0176 0.8067
O7 O 0.7923 0.9713 0.6970
O8 O 0.1763 0.2047 0.7009
O9 O 0.0268 0.8036 0.6944
O10 O 0.7768 0.8036 0.1944
O11 O 0.0284 0.2047 0.2009
O12 O 0.1789 0.9713 0.1970
O13 O 0.8813 0.3510 0.6400
O14 O 0.4659 0.1152 0.6323
O15 O 0.6562 0.5459 0.6433
O16 O 0.8897 0.5459 0.1433
O17 O 0.6493 0.1152 0.1323
O18 O 0.4697 0.3510 0.1400
O19 O 0.4590 0.3046 0.0304
O20 O 0.8430 0.5381 0.0342
O21 O 0.6934 0.1369 0.0277
O22 O 0.4435 0.1369 0.5277
O23 O 0.6951 0.5381 0.5342
O24 O 0.8456 0.3046 0.5304
O25 O 0.5479 0.6843 0.9734
O26 O 0.1326 0.4486 0.9656
O27 O 0.3228 0.8792 0.9766
O28 O 0.5564 0.8792 0.4766
O29 O 0.3160 0.4486 0.4656
O30 O 0.1364 0.6843 0.4734
O31 O 0.1257 0.6379 0.3637
O32 O 0.5096 0.8714 0.3676
O33 O 0.3601 0.4703 0.3610
O34 O 0.1102 0.4703 0.8610
O35 O 0.3618 0.8714 0.8676
O36 O 0.5123 0.6379 0.8637
O37 O 0.0205 0.8202 0.4122
O38 O 0.8085 0.0080 0.4135
O39 O 0.1911 0.1990 0.4104
O40 O 0.0079 0.1990 0.9104
O41 O 0.1995 0.0080 0.9135
O42 O 0.7997 0.8202 0.9122
O43 O 0.9681 0.1627 0.5882
O44 O 0.1923 0.0170 0.5868
O45 O 0.8467 0.8136 0.5880
O46 O 0.9669 0.8136 0.0880
O47 O 0.8247 0.0170 0.0868
O48 O 0.1946 0.1627 0.0882
O49 O 0.6871 0.1535 0.7455
O50 O 0.4752 0.3413 0.7468
O51 O 0.8578 0.5324 0.7437
O52 O 0.6746 0.5324 0.2437
O53 O 0.8661 0.3413 0.2468
O54 O 0.4664 0.1535 0.2455
O55 O 0.6347 0.4960 0.9215
O56 O 0.8590 0.3503 0.9202
O57 O 0.5134 0.1470 0.9213
O58 O 0.6336 0.1470 0.4213
O59 O 0.4913 0.3503 0.4202
O60 O 0.8613 0.4960 0.4215
O61 O 0.3538 0.4869 0.0788
O62 O 0.1418 0.6747 0.0801
O63 O 0.5245 0.8657 0.0771
O64 O 0.3412 0.8657 0.5771
O65 O 0.5328 0.6747 0.5801
O66 O 0.1331 0.4869 0.5788
O67 O 0.3014 0.8294 0.2548
O68 O 0.5257 0.6837 0.2535
O69 O 0.1800 0.4803 0.2546
O70 O 0.3003 0.4803 0.7546
O71 O 0.1580 0.6837 0.7535
O72 O 0.5280 0.8294 0.7548
```

***

Question: formation enthalpy at 0 K of number 2 (Na3CaScP2SO12)?
Answer: -2.804 eV per atom